(1)
An optimized crystal structure of Tl9SbTe6. Source: Materials Project, functional PBE-GGA.

Cell: 9.266 9.266 9.266 Å, 122.30 122.30 86.06°
Fractional positions:
Tl1 0.000 0.000 0.000
Tl2 0.010 0.506 0.206
Tl3 0.197 0.989 0.506
Tl4 0.299 0.804 0.794
Tl5 0.483 0.691 0.494
Tl6 0.506 0.299 0.495
Tl7 0.691 0.197 0.208
Tl8 0.804 0.010 0.505
Tl9 0.989 0.483 0.792
Sb1 0.504 0.504 0.000
Te1 0.174 0.347 0.528
Te2 0.253 0.253 0.000
Te3 0.347 0.819 0.173
Te4 0.646 0.174 0.827
Te5 0.726 0.726 0.000
Te6 0.819 0.646 0.472

Offset from the most stable computed form (meV per atom): 0
VASP energy (eV/cell): -48.83
DFT formation energy (eV/atom): -0.445
Maximum piezoelectric response (C/m²): 2.333

(2)
An optimized crystal structure of NaCaLaS3O12. Source: Materials Project, functional PBE-GGA.

Cell: 9.349 9.349 25.008 Å, 90.00 90.00 120.00°
Fractional positions:
Na1 0.000 0.000 0.496
Na2 0.000 0.000 0.996
Na3 0.667 0.333 0.829
Na4 0.667 0.333 0.329
Na5 0.333 0.667 0.162
Na6 0.333 0.667 0.662
Ca1 0.000 0.000 0.350
Ca2 0.000 0.000 0.850
Ca3 0.667 0.333 0.683
Ca4 0.667 0.333 0.183
Ca5 0.333 0.667 0.016
Ca6 0.333 0.667 0.516
La1 0.000 0.000 0.650
La2 0.000 0.000 0.150
La3 0.667 0.333 0.983
La4 0.667 0.333 0.483
La5 0.333 0.667 0.316
La6 0.333 0.667 0.816
S1 0.300 0.006 0.251
S2 0.706 0.700 0.251
S3 0.994 0.294 0.251
S4 0.300 0.294 0.751
S5 0.994 0.700 0.751
S6 0.706 0.006 0.751
S7 0.967 0.339 0.584
S8 0.372 0.033 0.584
S9 0.661 0.628 0.584
S10 0.967 0.628 0.084
S11 0.661 0.033 0.084
S12 0.372 0.339 0.084
S13 0.634 0.673 0.918
S14 0.039 0.366 0.918
S15 0.327 0.961 0.918
S16 0.634 0.961 0.418
S17 0.327 0.366 0.418
S18 0.039 0.673 0.418
O1 0.217 0.021 0.299
O2 0.804 0.783 0.299
O3 0.979 0.196 0.299
O4 0.217 0.196 0.799
O5 0.979 0.783 0.799
O6 0.804 0.021 0.799
O7 0.784 0.984 0.702
O8 0.201 0.216 0.702
O9 0.016 0.799 0.702
O10 0.784 0.799 0.202
O11 0.016 0.216 0.202
O12 0.201 0.984 0.202
O13 0.883 0.354 0.632
O14 0.471 0.117 0.632
O15 0.646 0.529 0.632
O16 0.883 0.529 0.132
O17 0.646 0.117 0.132
O18 0.471 0.354 0.132
O19 0.450 0.318 0.035
O20 0.867 0.550 0.035
O21 0.682 0.133 0.035
O22 0.450 0.133 0.535
O23 0.682 0.550 0.535
O24 0.867 0.318 0.535
O25 0.550 0.687 0.965
O26 0.137 0.450 0.965
O27 0.313 0.863 0.965
O28 0.550 0.863 0.465
O29 0.313 0.450 0.465
O30 0.137 0.687 0.465
O31 0.117 0.651 0.368
O32 0.534 0.883 0.368
O33 0.349 0.466 0.368
O34 0.117 0.466 0.868
O35 0.349 0.883 0.868
O36 0.534 0.651 0.868
O37 0.022 0.821 0.412
O38 0.799 0.978 0.412
O39 0.179 0.201 0.412
O40 0.022 0.201 0.912
O41 0.179 0.978 0.912
O42 0.799 0.821 0.912
O43 0.984 0.188 0.588
O44 0.204 0.016 0.588
O45 0.812 0.796 0.588
O46 0.984 0.796 0.088
O47 0.812 0.016 0.088
O48 0.204 0.188 0.088
O49 0.688 0.154 0.746
O50 0.466 0.312 0.746
O51 0.846 0.534 0.746
O52 0.688 0.534 0.246
O53 0.846 0.312 0.246
O54 0.466 0.154 0.246
O55 0.650 0.521 0.921
O56 0.871 0.350 0.921
O57 0.479 0.129 0.921
O58 0.650 0.129 0.421
O59 0.479 0.350 0.421
O60 0.871 0.521 0.421
O61 0.355 0.488 0.079
O62 0.133 0.645 0.079
O63 0.512 0.867 0.079
O64 0.355 0.867 0.579
O65 0.512 0.645 0.579
O66 0.133 0.488 0.579
O67 0.317 0.855 0.255
O68 0.538 0.683 0.255
O69 0.145 0.462 0.255
O70 0.317 0.462 0.755
O71 0.145 0.683 0.755
O72 0.538 0.855 0.755

VASP energy (eV/cell): -706.84
DFT formation energy (eV/atom): -2.556

(3)
An optimized crystal structure of Mn2CdTe3. Source: Materials Project, functional PBE-GGA.

Cell: 4.077 4.077 10.464 Å, 90.00 90.00 120.00°
Fractional positions:
Mn1 0.333 0.667 0.159
Mn2 0.667 0.333 0.841
Cd1 0.000 0.000 0.500
Te1 0.000 0.000 0.000
Te2 0.333 0.667 0.691
Te3 0.667 0.333 0.309

VASP energy (eV/cell): -29.44
DFT formation energy (eV/atom): -0.338

(4)
An optimized crystal structure of ZrI4O12. Source: Materials Project, functional PBE-GGA.

Cell: 8.529 8.529 7.543 Å, 90.00 90.00 90.00°
Fractional positions:
Zr1 0.250 0.250 0.055
Zr2 0.750 0.750 0.945
I1 0.004 0.472 0.728
I2 0.028 0.004 0.728
I3 0.472 0.496 0.728
I4 0.496 0.028 0.728
I5 0.504 0.972 0.272
I6 0.528 0.504 0.272
I7 0.972 0.996 0.272
I8 0.996 0.528 0.272
O1 0.006 0.849 0.445
O2 0.043 0.322 0.217
O3 0.046 0.161 0.901
O4 0.151 0.506 0.555
O5 0.161 0.454 0.901
O6 0.178 0.043 0.217
O7 0.322 0.457 0.217
O8 0.339 0.046 0.901
O9 0.349 0.994 0.555
O10 0.454 0.339 0.901
O11 0.457 0.178 0.217
O12 0.494 0.651 0.445
O13 0.506 0.349 0.555
O14 0.543 0.822 0.783
O15 0.546 0.661 0.099
O16 0.651 0.006 0.445
O17 0.661 0.954 0.099
O18 0.678 0.543 0.783
O19 0.822 0.957 0.783
O20 0.839 0.546 0.099
O21 0.849 0.494 0.445
O22 0.954 0.839 0.099
O23 0.957 0.678 0.783
O24 0.994 0.151 0.555

VASP energy (eV/cell): -176.77
DFT formation energy (eV/atom): -1.330

(5)
An optimized crystal structure of GaAgP2Se6. Source: Materials Project, functional PBE-GGA.

Cell: 7.722 12.338 23.047 Å, 90.00 90.00 90.00°
Fractional positions:
Ga1 0.229 0.136 0.158
Ga2 0.229 0.364 0.658
Ga3 0.271 0.636 0.158
Ga4 0.271 0.864 0.658
Ga5 0.729 0.136 0.342
Ga6 0.729 0.364 0.842
Ga7 0.771 0.636 0.342
Ga8 0.771 0.864 0.842
Ag1 0.157 0.600 0.984
Ag2 0.157 0.900 0.484
Ag3 0.343 0.100 0.984
Ag4 0.343 0.400 0.484
Ag5 0.657 0.600 0.516
Ag6 0.657 0.900 0.016
Ag7 0.843 0.100 0.516
Ag8 0.843 0.400 0.016
P1 0.045 0.099 0.657
P2 0.045 0.401 0.157
P3 0.242 0.630 0.588
P4 0.242 0.870 0.088
P5 0.258 0.130 0.588
P6 0.258 0.370 0.088
P7 0.455 0.599 0.657
P8 0.455 0.901 0.157
P9 0.545 0.099 0.843
P10 0.545 0.401 0.343
P11 0.742 0.630 0.912
P12 0.742 0.870 0.412
P13 0.758 0.130 0.912
P14 0.758 0.370 0.412
P15 0.955 0.599 0.843
P16 0.955 0.901 0.343
Se1 0.025 0.737 0.309
Se2 0.025 0.763 0.809
Se3 0.044 0.733 0.632
Se4 0.044 0.767 0.132
Se5 0.129 0.036 0.069
Se6 0.129 0.464 0.569
Se7 0.151 0.196 0.507
Se8 0.151 0.304 0.007
Se9 0.174 0.511 0.880
Se10 0.174 0.989 0.380
Se11 0.186 0.006 0.726
Se12 0.186 0.494 0.226
Se13 0.314 0.506 0.726
Se14 0.314 0.994 0.226
Se15 0.326 0.011 0.880
Se16 0.326 0.489 0.380
Se17 0.349 0.696 0.507
Se18 0.349 0.804 0.007
Se19 0.371 0.536 0.069
Se20 0.371 0.964 0.569
Se21 0.456 0.233 0.632
Se22 0.456 0.267 0.132
Se23 0.475 0.237 0.309
Se24 0.475 0.263 0.809
Se25 0.525 0.737 0.191
Se26 0.525 0.763 0.691
Se27 0.544 0.733 0.868
Se28 0.544 0.767 0.368
Se29 0.629 0.036 0.431
Se30 0.629 0.464 0.931
Se31 0.651 0.196 0.993
Se32 0.651 0.304 0.493
Se33 0.674 0.511 0.620
Se34 0.674 0.989 0.120
Se35 0.686 0.006 0.774
Se36 0.686 0.494 0.274
Se37 0.814 0.506 0.774
Se38 0.814 0.994 0.274
Se39 0.826 0.011 0.620
Se40 0.826 0.489 0.120
Se41 0.849 0.696 0.993
Se42 0.849 0.804 0.493
Se43 0.871 0.536 0.431
Se44 0.871 0.964 0.931
Se45 0.956 0.233 0.868
Se46 0.956 0.267 0.368
Se47 0.975 0.237 0.191
Se48 0.975 0.263 0.691

Offset from the most stable computed form (meV per atom): 0
VASP energy (eV/cell): -319.07
DFT formation energy (eV/atom): -0.505

(6)
An optimized crystal structure of Nb3Te4. Source: Materials Project, functional PBE-GGA.

Cell: 11.890 11.890 3.609 Å, 90.00 90.00 120.00°
Fractional positions:
Nb1 0.074 0.474 0.250
Nb2 0.400 0.926 0.250
Nb3 0.474 0.400 0.750
Nb4 0.526 0.600 0.250
Nb5 0.600 0.074 0.750
Nb6 0.926 0.526 0.750
Te1 0.076 0.720 0.250
Te2 0.280 0.355 0.250
Te3 0.333 0.667 0.250
Te4 0.355 0.076 0.750
Te5 0.645 0.924 0.250
Te6 0.667 0.333 0.750
Te7 0.720 0.645 0.750
Te8 0.924 0.280 0.750

Offset from the most stable computed form (meV per atom): 294
VASP energy (eV/cell): -88.10
DFT formation energy (eV/atom): -0.409

(7)
An optimized crystal structure of YMg6NbO8. Source: Materials Project, functional PBE-GGA.

Cell: 4.421 4.421 8.899 Å, 90.00 90.00 90.00°
Fractional positions:
Y1 0.000 0.000 0.000
Mg1 0.000 0.000 0.500
Mg2 0.000 0.500 0.264
Mg3 0.000 0.500 0.736
Mg4 0.500 0.000 0.264
Mg5 0.500 0.000 0.736
Mg6 0.500 0.500 0.500
Nb1 0.500 0.500 0.000
O1 0.000 0.000 0.265
O2 0.000 0.000 0.735
O3 0.000 0.500 0.000
O4 0.000 0.500 0.500
O5 0.500 0.000 0.000
O6 0.500 0.000 0.500
O7 0.500 0.500 0.267
O8 0.500 0.500 0.733

Offset from the most stable computed form (meV per atom): 0
VASP energy (eV/cell): -104.07
DFT formation energy (eV/atom): -2.738

(8)
An optimized crystal structure of CrN2. Source: Materials Project, functional PBE-GGA.

Cell: 5.543 6.038 6.840 Å, 63.94 88.74 81.58°
Fractional positions:
Cr1 0.000 0.000 0.000
Cr2 0.068 0.958 0.572
Cr3 0.494 0.811 0.354
Cr4 0.837 0.449 0.569
N1 0.017 0.834 0.849
N2 0.276 0.917 0.144
N3 0.381 0.924 0.534
N4 0.528 0.480 0.518
N5 0.807 0.882 0.251
N6 0.904 0.781 0.455
N7 0.909 0.316 0.845
N8 0.967 0.268 0.434

VASP energy (eV/cell): -103.18
DFT formation energy (eV/atom): -0.064

(9)
An optimized crystal structure of LiPd2Au. Source: Materials Project, functional PBE-GGA.

Cell: 4.472 4.472 4.472 Å, 60.00 60.00 60.00°
Fractional positions:
Li1 0.000 0.000 0.000
Pd1 0.250 0.250 0.250
Pd2 0.750 0.750 0.750
Au1 0.500 0.500 0.500

Offset from the most stable computed form (meV per atom): 0
VASP energy (eV/cell): -16.69
DFT formation energy (eV/atom): -0.286

(10)
An optimized crystal structure of Ho2Co12P7. Source: Materials Project, functional PBE-GGA.

Cell: 9.000 9.000 3.582 Å, 90.00 90.00 120.00°
Fractional positions:
Ho1 0.000 0.000 0.000
Ho2 0.333 0.667 0.500
Co1 0.049 0.769 0.500
Co2 0.101 0.393 0.000
Co3 0.231 0.281 0.500
Co4 0.292 0.899 0.000
Co5 0.394 0.214 0.000
Co6 0.535 0.099 0.500
Co7 0.564 0.465 0.500
Co8 0.607 0.708 0.000
Co9 0.719 0.951 0.500
Co10 0.786 0.180 0.000
Co11 0.820 0.606 0.000
Co12 0.901 0.436 0.500
P1 0.073 0.627 0.000
P2 0.264 0.042 0.500
P3 0.373 0.446 0.000
P4 0.554 0.927 0.000
P5 0.667 0.333 0.000
P6 0.778 0.736 0.500
P7 0.958 0.222 0.500

VASP energy (eV/cell): -149.30
DFT formation energy (eV/atom): -0.807

(11)
An optimized crystal structure of ThAl3Ni2. Source: Materials Project, functional PBE-GGA.

Cell: 5.309 5.309 4.073 Å, 90.00 90.00 120.00°
Fractional positions:
Th1 0.000 0.000 0.000
Al1 0.000 0.500 0.500
Al2 0.500 0.000 0.500
Al3 0.500 0.500 0.500
Ni1 0.333 0.667 0.000
Ni2 0.667 0.333 0.000

VASP energy (eV/cell): -34.14
DFT formation energy (eV/atom): -0.654

(12)
An optimized crystal structure of Na3SbF6. Source: Materials Project, functional PBE-GGA.

Cell: 6.229 6.229 6.229 Å, 60.00 60.00 60.00°
Fractional positions:
Na1 0.000 0.000 0.000
Na2 0.250 0.250 0.250
Na3 0.750 0.750 0.750
Sb1 0.500 0.500 0.500
F1 0.253 0.253 0.747
F2 0.253 0.747 0.253
F3 0.253 0.747 0.747
F4 0.747 0.253 0.253
F5 0.747 0.253 0.747
F6 0.747 0.747 0.253

Offset from the most stable computed form (meV per atom): 27
VASP energy (eV/cell): -43.80
DFT formation energy (eV/atom): -2.699